Computed, not measured: an optimized crystal structure of Ac3Pa at the PBE level of DFT.

a = 7.6464 Å, b = 7.6464 Å, c = 6.2002 Å
α = 90.00°, β = 90.00°, γ = 120.00°
Last column: nearest neighbours and their distance in Å.
Atoms (fractional coordinates):
Ac 0.1720 0.3440 0.2500  8 Ac 3.70-3.95, 4 Pa 3.77-3.82
Ac 0.1720 0.8280 0.2500  8 Ac 3.70-3.95, 4 Pa 3.77-3.82
Ac 0.3440 0.1720 0.7500  8 Ac 3.70-3.95, 4 Pa 3.77-3.82
Ac 0.6560 0.8280 0.2500  8 Ac 3.70-3.95, 4 Pa 3.77-3.82
Ac 0.8280 0.1720 0.7500  8 Ac 3.70-3.95, 4 Pa 3.77-3.82
Ac 0.8280 0.6560 0.7500  8 Ac 3.70-3.95, 4 Pa 3.77-3.82
Pa 0.3333 0.6667 0.7500  12 Ac 3.77-3.82
Pa 0.6667 0.3333 0.2500  12 Ac 3.77-3.82

Properties
energy relative to the elements = 0.4157 eV/atom